Below is a relaxed structure of SrAl22O34, with properties calculated at the GGA-PBE level.

Cell: 9.785 11.303 11.857 Å, 90.00 105.87 90.00°
Sites, in units of the cell vectors:
Sr (0.195, 0.250, 0.020)
Sr (0.805, 0.750, 0.980)
Al (0.000, 0.250, 0.498)
Al (0.000, 0.750, 0.502)
Al (0.050, 0.000, 0.150)
Al (0.050, 0.500, 0.150)
Al (0.097, 0.250, 0.289)
Al (0.098, 0.750, 0.288)
Al (0.150, 0.501, 0.450)
Al (0.150, 0.999, 0.450)
Al (0.155, 0.123, 0.711)
Al (0.155, 0.377, 0.711)
Al (0.157, 0.624, 0.716)
Al (0.157, 0.876, 0.716)
Al (0.345, 0.627, 0.283)
Al (0.345, 0.873, 0.283)
Al (0.347, 0.125, 0.292)
Al (0.347, 0.375, 0.292)
Al (0.349, 0.750, 0.549)
Al (0.351, 0.250, 0.553)
Al (0.404, 0.000, 0.716)
Al (0.404, 0.500, 0.716)
Al (0.448, 0.250, 0.852)
Al (0.452, 0.750, 0.853)
Al (0.500, 0.000, 0.500)
Al (0.500, 0.500, 0.500)
Al (0.548, 0.250, 0.147)
Al (0.552, 0.750, 0.148)
Al (0.596, 0.000, 0.284)
Al (0.596, 0.500, 0.284)
Al (0.649, 0.750, 0.447)
Al (0.651, 0.250, 0.451)
Al (0.653, 0.625, 0.708)
Al (0.653, 0.875, 0.708)
Al (0.655, 0.127, 0.717)
Al (0.655, 0.373, 0.717)
Al (0.843, 0.124, 0.284)
Al (0.843, 0.376, 0.284)
Al (0.845, 0.623, 0.289)
Al (0.845, 0.877, 0.289)
Al (0.850, 0.001, 0.550)
Al (0.850, 0.499, 0.550)
Al (0.902, 0.250, 0.712)
Al (0.903, 0.750, 0.711)
Al (0.950, 0.000, 0.850)
Al (0.950, 0.500, 0.850)
O (0.000, 0.000, 0.000)
O (0.000, 0.500, 0.000)
O (0.044, 0.633, 0.401)
O (0.044, 0.867, 0.401)
O (0.048, 0.132, 0.400)
O (0.048, 0.368, 0.400)
O (0.093, 0.750, 0.783)
O (0.096, 0.001, 0.788)
O (0.096, 0.250, 0.787)
O (0.096, 0.499, 0.788)
O (0.154, 0.626, 0.212)
O (0.154, 0.874, 0.212)
O (0.156, 0.130, 0.204)
O (0.156, 0.370, 0.204)
O (0.189, 0.250, 0.600)
O (0.189, 0.750, 0.599)
O (0.203, 0.501, 0.610)
O (0.203, 0.999, 0.610)
O (0.296, 0.250, 0.391)
O (0.297, 0.750, 0.389)
O (0.309, 0.002, 0.401)
O (0.309, 0.498, 0.401)
O (0.344, 0.124, 0.788)
O (0.344, 0.376, 0.788)
O (0.347, 0.625, 0.791)
O (0.347, 0.875, 0.791)
O (0.398, 0.250, 0.210)
O (0.402, 0.750, 0.207)
O (0.405, 0.002, 0.217)
O (0.405, 0.498, 0.217)
O (0.454, 0.250, 0.000)
O (0.455, 0.619, 0.599)
O (0.455, 0.881, 0.599)
O (0.456, 0.117, 0.600)
O (0.456, 0.383, 0.600)
O (0.544, 0.617, 0.400)
O (0.544, 0.883, 0.400)
O (0.545, 0.119, 0.401)
O (0.545, 0.381, 0.401)
O (0.546, 0.750, 0.000)
O (0.595, 0.502, 0.783)
O (0.595, 0.998, 0.783)
O (0.598, 0.250, 0.793)
O (0.602, 0.750, 0.790)
O (0.653, 0.125, 0.209)
O (0.653, 0.375, 0.209)
O (0.656, 0.624, 0.212)
O (0.656, 0.876, 0.212)
O (0.691, 0.502, 0.599)
O (0.691, 0.998, 0.599)
O (0.703, 0.250, 0.611)
O (0.704, 0.750, 0.609)
O (0.797, 0.001, 0.390)
O (0.797, 0.499, 0.390)
O (0.811, 0.250, 0.401)
O (0.811, 0.750, 0.400)
O (0.844, 0.630, 0.796)
O (0.844, 0.870, 0.796)
O (0.846, 0.126, 0.788)
O (0.846, 0.374, 0.788)
O (0.904, 0.501, 0.212)
O (0.904, 0.750, 0.213)
O (0.904, 0.999, 0.212)
O (0.907, 0.250, 0.217)
O (0.952, 0.632, 0.600)
O (0.952, 0.868, 0.600)
O (0.956, 0.133, 0.599)
O (0.956, 0.367, 0.599)

ρ (g/cm³): 3.23
DFT formation energy (eV per atom): -3.421
Symmetry: No. 11